Density functional theory data (PBE) for a geometry-optimized Y2Fe17N3 structure.

a = 8.649 Å, b = 8.649 Å, c = 8.384 Å
α = 90.00°, β = 90.00°, γ = 120.00°
Positions (direct):
Y 0.000 0.000 0.250
Y 0.000 0.000 0.750
Y 0.333 0.667 0.250
Y 0.667 0.333 0.750
Fe 0.000 0.500 0.000
Fe 0.000 0.500 0.500
Fe 0.053 0.381 0.750
Fe 0.053 0.671 0.750
Fe 0.169 0.339 0.021
Fe 0.169 0.339 0.479
Fe 0.169 0.831 0.021
Fe 0.169 0.831 0.479
Fe 0.329 0.381 0.750
Fe 0.329 0.947 0.750
Fe 0.333 0.667 0.608
Fe 0.333 0.667 0.892
Fe 0.339 0.169 0.521
Fe 0.339 0.169 0.979
Fe 0.381 0.053 0.250
Fe 0.381 0.329 0.250
Fe 0.500 0.000 0.000
Fe 0.500 0.000 0.500
Fe 0.500 0.500 0.000
Fe 0.500 0.500 0.500
Fe 0.619 0.671 0.750
Fe 0.619 0.947 0.750
Fe 0.661 0.831 0.021
Fe 0.661 0.831 0.479
Fe 0.667 0.333 0.108
Fe 0.667 0.333 0.392
Fe 0.671 0.053 0.250
Fe 0.671 0.619 0.250
Fe 0.831 0.169 0.521
Fe 0.831 0.169 0.979
Fe 0.831 0.661 0.521
Fe 0.831 0.661 0.979
Fe 0.947 0.329 0.250
Fe 0.947 0.619 0.250
N 0.164 0.328 0.250
N 0.164 0.836 0.250
N 0.328 0.164 0.750
N 0.672 0.836 0.250
N 0.836 0.164 0.750
N 0.836 0.672 0.750

Summary:
Energy of formation: -6.1 eV per formula unit